Record 1
Ti5CoSb2 (r2SCAN, relaxed); mass density = 6.48 Mg/m³
1.0
-5.196 5.196 2.571
5.196 -5.196 2.571
5.196 5.196 -2.571
Ti Co Sb
10 2 4
Cartesian
8.294 0.723 0.000
0.723 2.098 0.000
5.196 0.000 1.286
5.919 3.098 0.000
3.098 4.473 0.000
2.098 0.723 2.571
-0.723 2.098 2.571
0.000 5.196 1.286
4.473 3.098 2.571
-3.098 4.473 2.571
0.000 0.000 1.286
0.000 0.000 3.857
3.490 1.706 0.000
3.490 -1.706 2.571
1.706 6.901 0.000
1.706 3.490 2.571

=====

Record 2
NaCd2Rh (r2SCAN, relaxed); mass density = 7.95 Mg/m³
1.0
0.000 3.321 3.321
3.321 0.000 3.321
3.321 3.321 0.000
Na Cd Rh
1 2 1
Cartesian
0.000 0.000 0.000
1.661 1.661 1.661
4.982 4.982 4.982
3.321 3.321 3.321

=====

Record 3
LaMgCu (r2SCAN, relaxed); mass density = 5.28 Mg/m³
1.0
7.837 0.000 0.000
-3.918 6.787 0.000
0.000 0.000 4.025
La Mg Cu
3 3 3
Cartesian
-2.266 3.926 0.000
1.652 2.861 0.000
4.533 0.000 0.000
-0.912 1.579 2.012
1.824 0.000 2.012
3.007 5.208 2.012
0.000 0.000 0.000
0.000 4.524 2.012
3.918 2.262 2.012

=====

Record 4
Mg2SnSe4 (r2SCAN, relaxed); mass density = 4.52 Mg/m³
1.0
13.678 0.000 0.000
0.000 7.938 0.000
0.000 0.000 6.534
Mg Sn Se
8 4 16
Cartesian
0.000 0.000 0.000
0.000 3.969 0.000
3.153 1.984 3.261
3.686 5.953 6.528
6.839 0.000 3.267
6.839 3.969 3.267
9.992 1.984 0.006
10.525 5.953 3.273
1.214 5.953 2.740
5.626 1.984 6.007
8.053 5.953 0.527
12.465 1.984 3.794
1.060 1.984 4.939
1.265 5.953 5.241
2.315 3.994 1.557
2.315 7.912 1.557
4.524 0.025 4.824
4.524 3.944 4.824
5.574 1.984 1.974
5.779 5.953 1.672
7.899 1.984 4.862
8.104 5.953 4.560
9.155 3.994 1.710
9.155 7.912 1.710
11.363 0.025 4.977
11.363 3.944 4.977
12.413 1.984 1.293
12.618 5.953 1.595

=====

Record 5
CaB3H5O8 (r2SCAN, relaxed); mass density = 2.47 Mg/m³
1.0
6.041 0.000 0.000
0.000 11.194 0.000
-3.227 0.000 8.179
Ca B H O
4 12 20 32
Cartesian
0.987 2.298 1.082
-0.626 3.299 5.172
3.440 7.895 3.007
1.827 8.896 7.097
-2.262 0.587 5.912
-0.649 5.010 1.822
-1.050 7.957 5.479
0.563 8.834 1.389
-1.095 7.484 7.909
0.519 9.307 3.820
2.295 1.887 4.360
3.908 3.710 0.270
2.251 2.360 6.790
3.864 3.237 2.701
3.463 6.184 6.357
5.076 10.607 2.267
0.139 6.809 2.451
-1.475 9.982 6.540
-0.594 0.335 4.732
1.019 5.262 0.642
0.041 5.923 4.219
1.654 10.868 0.130
0.848 0.854 3.374
-0.766 4.743 7.464
0.267 0.363 6.705
1.881 5.234 2.615
0.933 5.960 5.564
2.547 10.831 1.475
3.579 6.451 0.715
1.966 10.340 4.805
1.160 0.326 8.050
2.773 5.271 3.960
1.795 5.932 7.537
3.408 10.859 3.447
4.289 1.212 1.639
2.675 4.385 5.729
-2.619 1.642 6.894
-1.006 3.955 2.805
-0.703 6.330 2.484
-2.316 10.461 6.573
1.028 8.336 0.211
-0.586 8.455 4.301
-0.877 0.897 5.495
0.736 4.700 1.405
-1.632 6.199 7.479
-0.019 10.592 3.389
-0.489 8.199 6.703
1.125 8.592 2.614
1.909 0.158 0.935
0.295 5.439 5.025
1.251 1.758 3.370
-0.362 3.839 7.459
3.176 7.355 0.720
1.562 9.436 4.809
2.519 5.755 3.154
0.905 11.036 7.244
1.689 2.602 5.565
3.302 2.995 1.476
2.833 0.602 4.790
4.446 4.995 0.700
2.078 6.494 6.774
3.691 10.297 2.684
3.400 2.739 3.878
1.786 2.858 7.968
5.130 0.733 1.606
3.517 4.864 5.696
3.819 7.239 5.375
5.433 9.552 1.285

=====

Record 6
SiO2 (r2SCAN, relaxed); mass density = 1.59 Mg/m³
1.0
0.000 6.790 6.790
6.790 0.000 6.790
6.790 6.790 0.000
Si O
10 20
Cartesian
1.551 1.551 1.551
5.239 5.239 1.551
5.239 1.551 5.239
3.395 3.395 3.395
12.029 8.341 8.341
1.551 5.239 5.239
10.185 10.185 10.185
8.341 12.029 8.341
8.341 8.341 12.029
12.029 12.029 12.029
1.867 1.867 0.000
4.923 4.923 0.000
1.867 0.000 1.867
6.790 4.923 1.867
4.923 0.000 4.923
6.790 1.867 4.923
2.471 2.471 2.471
4.319 4.319 2.471
4.319 2.471 4.319
0.000 1.867 1.867
4.923 6.790 1.867
4.923 1.867 6.790
2.471 4.319 4.319
11.109 9.261 9.261
0.000 4.923 4.923
1.867 6.790 4.923
1.867 4.923 6.790
9.261 11.109 9.261
9.261 9.261 11.109
11.109 11.109 11.109

=====

Record 7
GdCoC2 (r2SCAN, relaxed); mass density = 8.13 Mg/m³
1.0
3.643 0.000 0.000
0.000 2.242 3.002
0.000 -2.242 3.002
Gd Co C
1 1 2
Cartesian
0.000 0.000 0.000
1.821 0.000 2.308
1.821 -0.687 4.158
1.821 0.687 4.158

=====

Record 8
Tl4Te3Pb (r2SCAN, relaxed); mass density = 8.76 Mg/m³
1.0
-4.484 4.484 6.638
4.484 -4.484 6.638
4.484 4.484 -6.638
Tl Te Pb
8 6 2
Cartesian
3.172 -1.312 2.113
5.796 -1.312 4.525
5.796 1.312 2.113
3.172 1.312 4.525
1.312 3.172 2.113
-1.312 3.172 4.525
-1.312 5.796 2.113
1.312 5.796 4.525
3.005 1.479 0.000
0.000 0.000 3.319
3.005 -1.479 6.638
1.479 5.963 0.000
0.000 0.000 9.957
1.479 3.005 6.638
0.000 0.000 0.000
0.000 0.000 6.638

=====

Record 9
Ti3Al5 (r2SCAN, relaxed); mass density = 3.66 Mg/m³
1.0
3.895 0.000 0.000
0.000 3.895 0.000
0.000 0.000 8.326
Ti Al
3 5
Cartesian
0.000 0.000 0.000
0.000 0.000 4.163
1.948 1.948 0.000
0.000 1.948 2.077
0.000 1.948 6.249
1.948 0.000 2.077
1.948 0.000 6.249
1.948 1.948 4.163

=====

Record 10
ScTlRh2 (r2SCAN, relaxed); mass density = 11.20 Mg/m³
1.0
0.000 3.231 3.231
3.231 0.000 3.231
3.231 3.231 0.000
Sc Tl Rh
1 1 2
Cartesian
0.000 0.000 0.000
3.231 3.231 3.231
1.615 1.615 1.615
4.846 4.846 4.846

=====

Record 11
TbAl4 (r2SCAN, relaxed); mass density = 4.71 Mg/m³
1.0
-2.206 3.129 6.820
2.206 -3.129 6.820
2.206 3.129 -6.820
Tb Al
2 8
Cartesian
0.000 1.565 1.538
2.206 1.565 5.282
2.206 0.000 0.000
2.206 -1.565 5.273
2.206 -0.233 2.704
2.206 2.896 -2.704
0.000 0.000 6.820
0.000 0.233 9.524
0.000 3.362 4.116
0.000 4.694 1.547

=====

Record 12
Nb5Se4 (r2SCAN, relaxed); mass density = 7.50 Mg/m³
1.0
-4.991 4.991 1.733
4.991 -4.991 1.733
4.991 4.991 -1.733
Nb Se
5 4
Cartesian
0.000 0.000 0.000
3.729 3.044 0.000
1.947 -1.262 1.733
3.044 6.253 0.000
1.262 1.947 1.733
2.805 0.588 0.000
4.403 -2.186 1.733
0.588 7.177 0.000
2.186 4.403 1.733

=====

Record 13
HgI2 (r2SCAN, relaxed); mass density = 5.88 Mg/m³
1.0
8.991 0.000 0.000
0.000 8.991 0.000
0.000 0.000 12.706
Hg I
8 16
Cartesian
0.011 6.743 1.592
2.248 4.506 4.761
2.248 8.981 4.761
4.485 6.743 1.592
4.506 2.248 11.114
6.743 0.011 7.945
6.743 4.485 7.945
8.981 2.248 11.114
0.099 4.595 9.530
0.099 8.892 9.530
2.248 2.248 0.142
2.248 2.248 6.496
2.248 6.743 6.502
2.248 6.743 12.558
4.397 4.595 9.530
4.397 8.892 9.530
4.595 0.099 3.177
4.595 4.397 3.177
6.743 2.248 0.148
6.743 2.248 6.205
6.743 6.743 6.211
6.743 6.743 12.564
8.892 0.099 3.177
8.892 4.397 3.177

=====

Record 14
Pb (r2SCAN, relaxed); mass density = 10.61 Mg/m³; E above lowest polymorph = 68 meV/atom
1.0
3.039 -1.750 0.000
3.039 1.750 0.000
-2.115 0.000 6.095
Pb
2
Cartesian
-0.023 0.000 1.668
3.985 0.000 4.427

=====

Record 15
KPd2F5 (r2SCAN, relaxed); mass density = 4.77 Mg/m³
1.0
6.086 0.000 0.000
0.000 7.453 0.000
0.000 0.000 10.650
K Pd F
4 8 20
Cartesian
0.102 1.863 1.411
2.941 5.590 6.736
3.145 1.863 3.914
5.984 5.590 9.239
0.000 0.000 5.325
0.000 3.727 5.325
1.167 1.863 8.372
1.876 5.590 3.047
3.043 0.000 0.000
3.043 3.727 0.000
4.210 1.863 7.604
4.919 5.590 2.278
0.296 1.863 4.270
1.105 0.501 9.797
1.105 3.226 9.797
1.271 0.412 7.033
1.271 3.315 7.033
1.772 4.139 1.708
1.772 7.041 1.708
1.938 4.227 4.472
1.938 6.953 4.472
2.747 5.590 9.595
3.339 1.863 1.055
4.148 0.501 6.179
4.148 3.226 6.179
4.314 0.412 8.942
4.314 3.315 8.942
4.815 4.139 3.617
4.815 7.041 3.617
4.981 4.227 0.854
4.981 6.953 0.854
5.790 5.590 6.380

=====

Record 16
YAl10Fe2 (r2SCAN, relaxed); mass density = 3.94 Mg/m³
1.0
4.429 -5.042 0.000
4.429 5.042 0.000
0.000 0.000 8.882
Y Al Fe
2 20 4
Cartesian
4.429 3.777 6.662
4.429 -3.777 2.221
2.423 1.413 6.662
4.429 3.437 0.865
4.429 3.437 3.576
3.094 1.308 2.221
2.020 0.000 0.000
2.020 0.000 4.441
4.429 1.263 4.874
4.429 1.263 8.449
2.423 -1.413 2.221
3.094 -1.308 6.662
5.764 1.308 2.221
6.434 1.413 6.662
4.429 -1.263 0.433
4.429 -1.263 4.008
6.838 0.000 0.000
6.838 0.000 4.441
5.764 -1.308 6.662
4.429 -3.437 5.306
4.429 -3.437 8.017
6.434 -1.413 2.221
2.214 2.521 0.000
2.214 2.521 4.441
2.214 -2.521 0.000
2.214 -2.521 4.441

=====

Number 1: DFT formation energy -0.464 eV/atom. Number 2: DFT formation energy -0.082 eV/atom. Number 3: DFT formation energy -0.164 eV/atom. Number 4: DFT formation energy -1.017 eV/atom. Number 5: DFT formation energy -2.074 eV/atom. Number 6: DFT formation energy -3.015 eV/atom. Number 7: DFT formation energy -0.340 eV/atom. Number 8: DFT formation energy -0.406 eV/atom. Number 9: DFT formation energy -0.434 eV/atom. Number 10: DFT formation energy -0.634 eV/atom. Number 11: DFT formation energy -0.376 eV/atom. Number 12: DFT formation energy -0.768 eV/atom. Number 13: DFT formation energy -0.350 eV/atom. Number 14: DFT formation energy 0.068 eV/atom. Number 15: DFT formation energy -1.831 eV/atom. Number 16: DFT formation energy -0.310 eV/atom.